[1]
First-principles (PBE-GGA) data for BaSrEuSeO6 after structural relaxation, as listed in Materials Project.

## Properties
Total DFT energy (no corrections) ... -67.370 eV/cell
Formation enthalpy at 0 K ... -56.37 kcal/mol of atoms
Crystal system ... cubic

Lattice parameters (Å, degrees): 5.9449 5.9449 5.9449 60.00 60.00 60.00
Last column: nearest neighbours and their distance in Å.
Fractional positions:
Ba1 0.0000 0.0000 0.0000  12 O 2.98
Sr1 0.2500 0.2500 0.2500  6 O 2.37
Eu1 0.5000 0.5000 0.5000  12 O 2.98
Se1 0.7500 0.7500 0.7500  6 O 1.83
O1 0.5318 0.5318 0.9682  1 Se 1.83
O2 0.5318 0.9682 0.5318  1 Se 1.83
O3 0.5318 0.9682 0.9682  1 Se 1.83
O4 0.9682 0.5318 0.5318  1 Se 1.83
O5 0.9682 0.5318 0.9682  1 Se 1.83
O6 0.9682 0.9682 0.5318  1 Se 1.83

---

[2]
First-principles (PBE-GGA) data for Ba2EuTa3Ti2O15 after structural relaxation, as listed in Materials Project.

## Properties
Total DFT energy (no corrections) ... -416.844 eV/cell
Formation enthalpy at 0 K ... -79.26 kcal/mol of atoms
Crystal system ... orthorhombic

Lattice parameters (Å, degrees): 12.5187 12.5896 3.9623 90.00 90.00 90.00
Last column: nearest neighbours and their distance in Å.
Fractional positions:
Ba1 0.1718 0.1717 0.0000  7 O 2.80-3.05
Ba2 0.3282 0.6717 0.0000  7 O 2.80-3.05
Ba3 0.6718 0.3283 0.0000  7 O 2.80-3.05
Ba4 0.8282 0.8283 0.0000  7 O 2.80-3.05
Eu1 0.0000 0.5000 0.0000  12 O 2.60-2.74
Eu2 0.5000 0.0000 0.0000  12 O 2.60-2.74
Ta1 0.0000 0.0000 0.5000  6 O 1.98-1.99
Ta2 0.0764 0.7096 0.5000  6 O 1.97-2.00
Ta3 0.4236 0.2096 0.5000  6 O 1.97-2.00
Ta4 0.5000 0.5000 0.5000  6 O 1.98-1.99
Ta5 0.5764 0.7904 0.5000  6 O 1.97-2.00
Ta6 0.9236 0.2904 0.5000  6 O 1.97-2.00
Ti1 0.2125 0.4243 0.5000  6 O 1.90-2.01
Ti2 0.2875 0.9243 0.5000  6 O 1.90-2.01
Ti3 0.7125 0.0757 0.5000  6 O 1.90-2.01
Ti4 0.7875 0.5757 0.5000  6 O 1.90-2.01
O1 0.0000 0.0000 0.0000  2 Ta 1.98
O2 0.0083 0.1580 0.5000  2 Ta 1.97-1.99
O3 0.0648 0.3652 0.5000  1 Ti 1.99, 1 Ta 2.00
O4 0.0760 0.6965 0.0000  2 Ta 1.99
O5 0.1361 0.5650 0.5000  1 Ta 1.97, 1 Ti 2.01
O6 0.1583 0.0042 0.5000  1 Ti 1.90, 1 Ta 1.98
O7 0.1940 0.4252 0.0000  2 Ti 1.99
O8 0.2165 0.7830 0.5000  1 Ta 1.98, 1 Ti 1.99
O9 0.2835 0.2830 0.5000  1 Ta 1.98, 1 Ti 1.99
O10 0.3060 0.9252 0.0000  2 Ti 1.99
O11 0.3417 0.5042 0.5000  1 Ti 1.90, 1 Ta 1.98
O12 0.3639 0.0650 0.5000  1 Ta 1.97, 1 Ti 2.01
O13 0.4240 0.1965 0.0000  2 Ta 1.99
O14 0.4352 0.8652 0.5000  1 Ti 1.99, 1 Ta 2.00
O15 0.4917 0.6580 0.5000  2 Ta 1.97-1.99
O16 0.5000 0.5000 0.0000  2 Ta 1.98
O17 0.5083 0.3420 0.5000  2 Ta 1.97-1.99
O18 0.5648 0.1348 0.5000  1 Ti 1.99, 1 Ta 2.00
O19 0.5760 0.8035 0.0000  2 Ta 1.99
O20 0.6361 0.9350 0.5000  1 Ta 1.97, 1 Ti 2.01
O21 0.6583 0.4958 0.5000  1 Ti 1.90, 1 Ta 1.98
O22 0.6940 0.0748 0.0000  2 Ti 1.99
O23 0.7165 0.7170 0.5000  1 Ta 1.98, 1 Ti 1.99
O24 0.7835 0.2170 0.5000  1 Ta 1.98, 1 Ti 1.99
O25 0.8060 0.5748 0.0000  2 Ti 1.99
O26 0.8417 0.9958 0.5000  1 Ti 1.90, 1 Ta 1.98
O27 0.8639 0.4350 0.5000  1 Ta 1.97, 1 Ti 2.01
O28 0.9240 0.3035 0.0000  2 Ta 1.99
O29 0.9352 0.6348 0.5000  1 Ti 1.99, 1 Ta 2.00
O30 0.9917 0.8420 0.5000  2 Ta 1.97-1.99

---

[3]
First-principles (PBE-GGA) data for Ba5Eu8Zn4O21 after structural relaxation, as listed in Materials Project.

## Properties
Total DFT energy (no corrections) ... -292.548 eV/cell
Formation enthalpy at 0 K ... -64.56 kcal/mol of atoms
Crystal system ... tetragonal

Lattice parameters (Å, degrees): 10.4359 10.4359 10.4359 94.49 94.49 147.51
Last column: nearest neighbours and their distance in Å.
Fractional positions:
Ba1 0.0000 0.0000 0.0000  10 O 2.92-2.99
Ba2 0.1382 0.5319 0.6701  6 O 2.69-2.98
Ba3 0.4681 0.1382 0.6064  6 O 2.69-2.98
Ba4 0.5319 0.8618 0.3936  6 O 2.69-2.98
Ba5 0.8618 0.4681 0.3299  6 O 2.69-2.98
Eu1 0.1657 0.2504 0.4161  7 O 2.34-2.60
Eu2 0.2504 0.8343 0.0847  7 O 2.34-2.60
Eu3 0.3583 0.4102 0.7685  7 O 2.38-2.47
Eu4 0.4102 0.6417 0.0519  7 O 2.38-2.47
Eu5 0.5898 0.3583 0.9481  7 O 2.38-2.47
Eu6 0.6417 0.5898 0.2315  7 O 2.38-2.47
Eu7 0.7496 0.1657 0.9153  7 O 2.34-2.60
Eu8 0.8343 0.7496 0.5839  7 O 2.34-2.60
Zn1 0.0421 0.7473 0.7894  5 O 2.02-2.15
Zn2 0.2527 0.0421 0.2948  5 O 2.02-2.15
Zn3 0.7473 0.9579 0.7052  5 O 2.02-2.15
Zn4 0.9579 0.2527 0.2106  5 O 2.02-2.15
O1 0.0174 0.9028 0.4071  1 Zn 2.05
O2 0.0312 0.3748 0.4060  1 Zn 2.02
O3 0.0656 0.2896 0.8648  1 Zn 2.15, 1 Eu 2.39
O4 0.0972 0.5043 0.1147  1 Zn 2.05
O5 0.2008 0.0656 0.7760  1 Zn 2.15, 1 Eu 2.39
O6 0.2896 0.4248 0.2240  1 Zn 2.15, 1 Eu 2.39
O7 0.3748 0.9688 0.3436  1 Zn 2.02
O8 0.3896 0.9826 0.8853  1 Zn 2.05
O9 0.4248 0.2008 0.1352  1 Zn 2.15, 1 Eu 2.39
O10 0.4957 0.6104 0.5929  1 Zn 2.05
O11 0.5000 0.5000 0.0000  4 Eu 2.38
O12 0.5043 0.3896 0.4071  1 Zn 2.05
O13 0.5752 0.7992 0.8648  1 Zn 2.15, 1 Eu 2.39
O14 0.6104 0.0174 0.1147  1 Zn 2.05
O15 0.6252 0.0312 0.6564  1 Zn 2.02
O16 0.7104 0.5752 0.7760  1 Zn 2.15, 1 Eu 2.39
O17 0.7992 0.9344 0.2240  1 Zn 2.15, 1 Eu 2.39
O18 0.9028 0.4957 0.8853  1 Zn 2.05
O19 0.9344 0.7104 0.1352  1 Zn 2.15, 1 Eu 2.39
O20 0.9688 0.6252 0.5940  1 Zn 2.02
O21 0.9826 0.0972 0.5929  1 Zn 2.05

---

[4]
First-principles (PBE-GGA) data for BaEuZr4O12 after structural relaxation, as listed in Materials Project.

## Properties
Total DFT energy (no corrections) ... -153.853 eV/cell
Formation enthalpy at 0 K ... -72.20 kcal/mol of atoms
Crystal system ... orthorhombic

Lattice parameters (Å, degrees): 8.2672 5.8580 5.8580 90.10 90.00 90.00
Last column: nearest neighbours and their distance in Å.
Fractional positions:
Ba1 0.0000 0.0000 0.0000  10 O 2.84-3.03
Eu1 0.5000 0.4847 0.4847  6 O 2.53-2.81
Zr1 0.2525 0.4956 0.9918  6 O 2.07-2.10
Zr2 0.2525 0.9918 0.4956  6 O 2.07-2.10
Zr3 0.7475 0.4956 0.9918  6 O 2.07-2.10
Zr4 0.7475 0.9918 0.4956  6 O 2.07-2.10
O1 0.0000 0.5156 0.9715  2 Zr 2.09
O2 0.0000 0.9715 0.5156  2 Zr 2.09
O3 0.2364 0.2702 0.2702  2 Zr 2.10
O4 0.2535 0.2244 0.7628  2 Zr 2.07-2.08
O5 0.2535 0.7628 0.2244  2 Zr 2.07-2.08
O6 0.2889 0.7068 0.7068  2 Zr 2.10
O7 0.5000 0.0374 0.4736  2 Zr 2.07
O8 0.5000 0.4736 0.0374  2 Zr 2.07
O9 0.7111 0.7068 0.7068  2 Zr 2.10
O10 0.7465 0.2244 0.7628  2 Zr 2.07-2.08
O11 0.7465 0.7628 0.2244  2 Zr 2.07-2.08
O12 0.7636 0.2702 0.2702  2 Zr 2.10

---

[5]
First-principles (PBE-GGA) data for BaSrEu2 after structural relaxation, as listed in Materials Project.

## Properties
Total DFT energy (no corrections) ... -23.938 eV/cell
Formation enthalpy at 0 K ... 1.06 kcal/mol of atoms
Crystal system ... cubic

Lattice parameters (Å, degrees): 6.5861 6.5861 6.5861 60.00 60.00 60.00
Last column: nearest neighbours and their distance in Å.
Fractional positions:
Ba1 0.0000 0.0000 0.0000  8 Eu 4.03
Sr1 0.5000 0.5000 0.5000  8 Eu 4.03
Eu1 0.2500 0.2500 0.2500  4 Sr 4.03, 4 Ba 4.03
Eu2 0.7500 0.7500 0.7500  4 Ba 4.03, 4 Sr 4.03

---

Number 3 is which compound? Ba5Eu8Zn4O21

---

The lowest formation enthalpy at 0 K belongs to which entry? Ba2EuTa3Ti2O15

---

What is the formula in the first record? BaSrEuSeO6

---

Which of these has the lowest total DFT energy (no corrections)? Ba2EuTa3Ti2O15